Entry 1:
# MgTiCu4S4

A relaxed structure of MgTiCu4S4 (PBE-GGA, Materials Project).

Summary:
SG   I-4
Calculated density   4.38 g cm⁻³
Calculated formation energy   -0.604 eV per atom
Raw total energy   -4.647 eV/atom

Cell lengths 5.577, 5.577, 6.797 Å; angles 114.22, 114.22, 90.00 degrees
Positions (direct):
Mg 0.750 0.250 0.500
Ti 0.000 0.000 0.000
Cu 0.499 0.999 0.999
Cu 0.001 0.501 0.001
Cu 0.256 0.256 0.511
Cu 0.744 0.744 0.489
S 0.882 0.869 0.251
S 0.618 0.118 0.749
S 0.131 0.631 0.749
S 0.369 0.382 0.251

---

Entry 2:
# Mg14CuSb

A relaxed structure of Mg14CuSb (PBE-GGA, Materials Project).

Summary:
SG   P-6m2
Calculated density   2.48 g cm⁻³
Calculated formation energy   -0.027 eV per atom
Raw total energy   -1.929 eV/atom

Cell lengths 6.277, 6.277, 10.305 Å; angles 90.00, 90.00, 120.00 degrees
Positions (direct):
Mg 0.164 0.832 0.125
Mg 0.167 0.833 0.625
Mg 0.668 0.336 0.125
Mg 0.667 0.333 0.625
Mg 0.668 0.832 0.125
Mg 0.667 0.833 0.625
Mg 0.331 0.169 0.364
Mg 0.331 0.169 0.886
Mg 0.331 0.662 0.364
Mg 0.331 0.662 0.886
Mg 0.838 0.169 0.364
Mg 0.838 0.169 0.886
Mg 0.833 0.667 0.375
Mg 0.833 0.667 0.875
Cu 0.167 0.333 0.125
Sb 0.167 0.333 0.625

---

Entry 3:
# Mg14CuSb

A relaxed structure of Mg14CuSb (PBE-GGA, Materials Project).

Summary:
SG   Amm2
Calculated density   2.49 g cm⁻³
Calculated formation energy   -0.020 eV per atom
Raw total energy   -1.922 eV/atom

Cell lengths 6.276, 6.275, 10.295 Å; angles 90.00, 90.00, 120.00 degrees
Positions (direct):
Mg 0.168 0.334 0.625
Mg 0.167 0.834 0.625
Mg 0.668 0.334 0.125
Mg 0.665 0.333 0.625
Mg 0.668 0.834 0.125
Mg 0.665 0.832 0.625
Mg 0.332 0.171 0.371
Mg 0.332 0.171 0.879
Mg 0.332 0.660 0.371
Mg 0.332 0.660 0.879
Mg 0.838 0.169 0.371
Mg 0.838 0.169 0.879
Mg 0.831 0.666 0.378
Mg 0.831 0.666 0.872
Cu 0.166 0.333 0.125
Sb 0.165 0.832 0.125

---

Entry 4:
# Mg6CuSb

A relaxed structure of Mg6CuSb (PBE-GGA, Materials Project).

Summary:
Calculated density   3.26 g cm⁻³
Calculated formation energy   -0.038 eV per atom
Raw total energy   -2.243 eV/atom

Cell lengths 4.886, 6.494, 10.619 Å; angles 90.00, 90.00, 90.00 degrees
Positions (direct):
Mg 0.500 0.748 0.086
Mg 0.500 0.252 0.086
Mg 0.000 0.770 0.913
Mg 0.000 0.230 0.913
Mg 0.000 0.500 0.170
Mg 0.000 0.500 0.662
Mg 0.500 0.248 0.586
Mg 0.500 0.752 0.586
Mg 0.000 0.270 0.413
Mg 0.000 0.730 0.413
Mg 0.000 0.000 0.670
Mg 0.000 0.000 0.162
Cu 0.500 0.500 0.333
Cu 0.500 0.000 0.833
Sb 0.500 0.500 0.836
Sb 0.500 0.000 0.336

---

Entry 5:
# Mg6CuSb

A relaxed structure of Mg6CuSb (PBE-GGA, Materials Project).

Summary:
Calculated density   3.19 g cm⁻³
Calculated formation energy   -0.053 eV per atom
Raw total energy   -2.258 eV/atom

Cell lengths 4.974, 6.149, 11.282 Å; angles 90.00, 90.00, 90.00 degrees
Positions (direct):
Mg 0.000 0.246 0.077
Mg 0.000 0.754 0.077
Mg 0.000 0.000 0.329
Mg 0.500 0.739 0.406
Mg 0.500 0.261 0.406
Mg 0.500 0.000 0.166
Mg 0.000 0.746 0.577
Mg 0.000 0.254 0.577
Mg 0.000 0.500 0.829
Mg 0.500 0.239 0.906
Mg 0.500 0.761 0.906
Mg 0.500 0.500 0.666
Cu 0.000 0.500 0.380
Cu 0.000 0.000 0.880
Sb 0.500 0.500 0.159
Sb 0.500 0.000 0.659

---

Entry 6:
# MgScCu3Se4

A relaxed structure of MgScCu3Se4 (PBE-GGA, Materials Project).

Summary:
SG   P-43m
Calculated density   4.81 g cm⁻³
Calculated formation energy   -0.946 eV per atom
Raw total energy   -4.538 eV/atom

Cell lengths 5.837, 5.837, 5.837 Å; angles 90.00, 90.00, 90.00 degrees
Positions (direct):
Mg 0.500 0.500 0.500
Sc 0.000 0.000 0.000
Cu 0.000 0.500 0.000
Cu 0.000 0.000 0.500
Cu 0.500 0.000 0.000
Se 0.248 0.248 0.248
Se 0.752 0.752 0.248
Se 0.248 0.752 0.752
Se 0.752 0.248 0.752

---

Entry 7:
# MgTlCu3Se4

A relaxed structure of MgTlCu3Se4 (PBE-GGA, Materials Project).

Summary:
SG   P-43m
Calculated density   5.61 g cm⁻³
Calculated formation energy   -0.332 eV per atom
Raw total energy   -3.483 eV/atom

Cell lengths 6.014, 6.014, 6.014 Å; angles 90.00, 90.00, 90.00 degrees
Positions (direct):
Mg 0.500 0.500 0.500
Tl 0.000 0.000 0.000
Cu 0.000 0.500 0.000
Cu 0.000 0.000 0.500
Cu 0.500 0.000 0.000
Se 0.255 0.255 0.255
Se 0.745 0.745 0.255
Se 0.255 0.745 0.745
Se 0.745 0.255 0.745

---

Entry 8:
# MgVCu3Se4

A relaxed structure of MgVCu3Se4 (PBE-GGA, Materials Project).

Summary:
SG   P-43m
Calculated density   5.01 g cm⁻³
Calculated formation energy   -0.619 eV per atom
Raw total energy   -4.517 eV/atom

Cell lengths 5.778, 5.778, 5.778 Å; angles 90.00, 90.00, 90.00 degrees
Positions (direct):
Mg 0.500 0.500 0.500
V 0.000 0.000 0.000
Cu 0.000 0.500 0.000
Cu 0.000 0.000 0.500
Cu 0.500 0.000 0.000
Se 0.242 0.242 0.242
Se 0.758 0.758 0.242
Se 0.242 0.758 0.758
Se 0.758 0.242 0.758

---

Entry 9:
# Mg2Cu3Si

A relaxed structure of Mg2Cu3Si (PBE-GGA, Materials Project).

Summary:
SG   P6_3/mmc
Calculated density   5.16 g cm⁻³
Calculated formation energy   -0.223 eV per atom
Raw total energy   -3.722 eV/atom

Cell lengths 5.022, 5.022, 7.873 Å; angles 90.00, 90.00, 120.00 degrees
Positions (direct):
Mg 0.333 0.667 0.061
Mg 0.667 0.333 0.561
Mg 0.667 0.333 0.939
Mg 0.333 0.667 0.439
Cu 0.169 0.337 0.750
Cu 0.831 0.169 0.250
Cu 0.337 0.169 0.250
Cu 0.663 0.831 0.750
Cu 0.169 0.831 0.750
Cu 0.831 0.663 0.250
Si 0.000 0.000 0.000
Si 0.000 0.000 0.500

---

Entry 10:
# SmMg2Cu9

A relaxed structure of SmMg2Cu9 (PBE-GGA, Materials Project).

Summary:
SG   P6_3/mmc
Calculated density   7.22 g cm⁻³
Calculated formation energy   -0.172 eV per atom
Raw total energy   -3.906 eV/atom

Cell lengths 5.031, 5.031, 16.177 Å; angles 90.00, 90.00, 120.00 degrees
Positions (direct):
Sm 0.667 0.333 0.250
Sm 0.333 0.667 0.750
Mg 0.667 0.333 0.468
Mg 0.333 0.667 0.968
Mg 0.667 0.333 0.032
Mg 0.333 0.667 0.532
Cu 0.333 0.667 0.250
Cu 0.667 0.333 0.750
Cu 0.168 0.832 0.377
Cu 0.168 0.336 0.377
Cu 0.000 0.000 0.750
Cu 0.000 0.000 0.250
Cu 0.000 0.000 0.000
Cu 0.000 0.000 0.500
Cu 0.168 0.336 0.123
Cu 0.832 0.168 0.623
Cu 0.336 0.168 0.623
Cu 0.664 0.832 0.123
Cu 0.168 0.832 0.123
Cu 0.832 0.664 0.877
Cu 0.832 0.168 0.877
Cu 0.832 0.664 0.623
Cu 0.336 0.168 0.877
Cu 0.664 0.832 0.377

---

Entry 11:
# Sm2MgCu2

A relaxed structure of Sm2MgCu2 (PBE-GGA, Materials Project).

Summary:
SG   P4/mbm
Calculated density   6.62 g cm⁻³
Calculated formation energy   -0.208 eV per atom
Raw total energy   -4.055 eV/atom

Cell lengths 7.810, 7.810, 3.719 Å; angles 90.00, 90.00, 90.00 degrees
Positions (direct):
Sm 0.679 0.179 0.500
Sm 0.321 0.821 0.500
Sm 0.179 0.321 0.500
Sm 0.821 0.679 0.500
Mg 0.000 0.000 0.000
Mg 0.500 0.500 0.000
Cu 0.117 0.617 0.000
Cu 0.883 0.383 0.000
Cu 0.617 0.883 0.000
Cu 0.383 0.117 0.000

---

Entry 12:
# Mg6CuSn

A relaxed structure of Mg6CuSn (PBE-GGA, Materials Project).

Summary:
Calculated density   3.23 g cm⁻³
Calculated formation energy   -0.008 eV per atom
Raw total energy   -2.222 eV/atom

Cell lengths 4.995, 6.207, 10.868 Å; angles 90.00, 90.00, 90.00 degrees
Positions (direct):
Mg 0.000 0.246 0.080
Mg 0.000 0.754 0.080
Mg 0.000 0.000 0.332
Mg 0.500 0.741 0.411
Mg 0.500 0.259 0.411
Mg 0.500 0.000 0.167
Mg 0.000 0.746 0.580
Mg 0.000 0.254 0.580
Mg 0.000 0.500 0.832
Mg 0.500 0.241 0.911
Mg 0.500 0.759 0.911
Mg 0.500 0.500 0.667
Cu 0.000 0.500 0.354
Cu 0.000 0.000 0.854
Sn 0.500 0.500 0.165
Sn 0.500 0.000 0.665

---

The lowest calculated density belongs to which entry? number 2

---

Among the records above, which one has the highest calculated density? SmMg2Cu9

---

Which formula does entry 4 have? Mg6CuSb